DFT (PBE-GGA) results for crystalline In2AsSe at its relaxed geometry.

* ΔE_f: -0.3554 eV per atom
* E (MP2020): -3.77 eV/atom
* calculated total energy: -14.61 eV per formula unit
* E above lowest polymorph: 0.24 kJ per mole of atoms

CIF file:
```
data_In2AsSe
_symmetry_space_group_name_H-M 'I 21 21 21'
_symmetry_Int_Tables_number 24
_symmetry_space_group_name_Hall 'I 2b 2c'
_cell_length_a 6.372
_cell_length_b 6.397
_cell_length_c 12.866
_cell_angle_alpha 90.00
_cell_angle_beta 90.00
_cell_angle_gamma 90.00
loop_
_atom_site_label
_atom_site_type_symbol
_atom_site_fract_x
_atom_site_fract_y
_atom_site_fract_z
In1 In 0.243 0.000 0.250
In2 In 0.250 0.487 0.500
As1 As 0.000 0.250 0.372
Se1 Se 0.000 0.250 0.877
```